Record 1
VASP calculation (PBE+U) on an optimized crystal structure of MgV2Pb3O8.

Geometry as POSCAR:
```
MgV2Pb3O8
1.0
-5.850 1.453 -0.138
-3.102 -4.739 1.446
-3.765 1.851 6.863
O Pb Mg V
8 3 1 2
Direct
0.606 0.222 0.262
0.196 0.620 0.407
0.763 0.688 0.961
0.326 0.526 0.058
0.728 0.632 0.317
0.298 0.723 0.717
0.303 0.244 0.785
0.809 0.363 0.714
0.065 0.322 0.354
0.999 0.903 0.004
0.647 0.915 0.510
0.055 0.544 0.705
0.462 0.423 0.819
0.545 0.551 0.202
```

* relative energy among the computed polymorphs: 0.000 eV per atom
* calculated volume: 16.6 Å³ per atom
* calculated total energy: -90.4 eV per formula unit
* calculated formation energy: -2.057 eV/atom
* space group: No. 1

Record 2
VASP calculation (PBE+U) on an optimized crystal structure of MgMn6O12.

Geometry as POSCAR:
```
MgMn6O12
1.0
0.000 2.917 0.000
-0.948 0.000 10.710
10.151 0.000 -1.634
Mn O Mg
6 12 1
Direct
0.511 0.000 0.500
0.010 0.991 0.252
0.504 0.738 0.994
0.000 0.500 0.000
0.010 0.009 0.748
0.504 0.262 0.006
0.008 0.124 0.943
0.999 0.363 0.096
0.510 0.080 0.195
0.999 0.637 0.904
0.008 0.876 0.057
0.011 0.911 0.563
0.500 0.404 0.900
0.510 0.100 0.685
0.510 0.920 0.805
0.011 0.089 0.437
0.500 0.596 0.100
0.510 0.900 0.315
0.510 0.000 0.000
```

* relative energy among the computed polymorphs: 0.112 eV per atom
* calculated volume: 16.5 Å³ per atom
* calculated total energy: -133.3 eV per formula unit
* calculated formation energy: -1.874 eV/atom
* space group: No. 3

Record 3
VASP calculation (PBE+U) on an optimized crystal structure of Li2FeSi6O15.

Geometry as POSCAR:
```
Li2FeSi6O15
1.0
3.630 6.507 0.000
-3.630 6.507 0.000
0.000 2.882 14.559
Si O Li Fe
12 30 4 2
Direct
0.634 0.000 0.253
0.556 0.436 0.458
0.167 0.374 0.950
0.081 0.031 0.936
0.912 0.074 0.744
0.000 0.634 0.753
0.541 0.640 0.253
0.031 0.081 0.436
0.074 0.912 0.244
0.640 0.541 0.753
0.374 0.167 0.450
0.436 0.556 0.958
0.306 0.695 0.233
0.232 0.128 0.940
0.463 0.740 0.693
0.030 0.067 0.829
0.079 0.039 0.652
0.845 0.892 0.762
0.067 0.030 0.329
0.365 0.388 0.461
0.587 0.191 0.174
0.562 0.539 0.042
0.191 0.587 0.674
0.128 0.232 0.440
0.039 0.079 0.152
0.539 0.562 0.542
0.740 0.463 0.193
0.695 0.306 0.733
0.465 0.996 0.537
0.388 0.365 0.961
0.552 0.856 0.221
0.852 0.146 0.996
0.079 0.516 0.853
0.892 0.845 0.262
0.856 0.552 0.721
0.209 0.778 0.967
0.516 0.079 0.353
0.572 0.572 0.362
0.146 0.852 0.496
0.572 0.572 0.862
0.778 0.209 0.467
0.996 0.465 0.037
0.349 0.049 0.661
0.684 0.713 0.551
0.713 0.684 0.051
0.049 0.349 0.161
0.281 0.768 0.604
0.768 0.281 0.104
```

* relative energy among the computed polymorphs: 0.041 eV per atom
* calculated volume: 14.3 Å³ per atom
* calculated total energy: -174.7 eV per formula unit
* calculated formation energy: -2.842 eV/atom
* space group: No. 9

Record 4
VASP calculation (PBE+U) on an optimized crystal structure of Mg6FeCoO8.

Geometry as POSCAR:
```
Mg6FeCoO8
1.0
8.543 0.000 0.000
0.000 4.274 0.000
0.000 0.000 4.274
Mg O Fe Co
6 8 1 1
Direct
0.000 0.500 0.500
0.743 0.500 0.000
0.743 0.000 0.500
0.257 0.000 0.500
0.500 0.500 0.500
0.257 0.500 0.000
0.760 0.000 0.000
0.751 0.500 0.500
0.000 0.500 0.000
0.500 0.000 0.500
0.000 0.000 0.500
0.500 0.500 0.000
0.249 0.500 0.500
0.240 0.000 0.000
0.000 0.000 0.000
0.500 0.000 0.000
```

* relative energy among the computed polymorphs: 0.009 eV per atom
* calculated volume: 9.8 Å³ per atom
* calculated total energy: -95.8 eV per formula unit
* calculated formation energy: -2.525 eV/atom
* space group: No. 123

Record 5
VASP calculation (PBE+U) on an optimized crystal structure of Li2VO2F2.

Geometry as POSCAR:
```
Li2VO2F2
1.0
-0.182 1.882 4.715
0.794 -5.420 2.194
9.506 1.936 1.345
F Li O V
8 8 8 4
Direct
0.155 0.352 0.363
0.845 0.648 0.637
0.345 0.648 0.137
0.655 0.648 0.363
0.155 0.648 0.863
0.655 0.352 0.863
0.345 0.352 0.637
0.845 0.352 0.137
0.500 0.392 0.250
0.000 0.134 0.250
0.000 0.608 0.250
0.000 0.392 0.750
0.500 0.608 0.750
0.500 0.134 0.750
0.000 0.866 0.750
0.500 0.866 0.250
0.085 0.104 0.889
0.914 0.896 0.111
0.586 0.896 0.889
0.415 0.104 0.111
0.085 0.896 0.389
0.914 0.104 0.611
0.415 0.896 0.611
0.586 0.104 0.389
0.250 0.883 0.000
0.750 0.117 0.000
0.750 0.883 0.500
0.250 0.118 0.500
```

* relative energy among the computed polymorphs: 0.053 eV per atom
* calculated volume: 10.3 Å³ per atom
* calculated total energy: -42.1 eV per formula unit
* calculated formation energy: -2.783 eV/atom

Record 6
VASP calculation (PBE+U) on an optimized crystal structure of KMnF4.

Geometry as POSCAR:
```
KMnF4
1.0
7.848 0.000 0.000
0.000 5.912 0.000
0.000 0.086 7.886
F K Mn
16 4 4
Direct
0.770 0.885 0.003
0.018 0.905 0.733
0.482 0.905 0.233
0.558 0.291 0.065
0.730 0.885 0.503
0.576 0.290 0.446
0.076 0.710 0.054
0.982 0.095 0.267
0.230 0.115 0.997
0.518 0.095 0.767
0.270 0.115 0.497
0.058 0.709 0.435
0.942 0.291 0.565
0.924 0.290 0.946
0.442 0.709 0.935
0.424 0.710 0.554
0.807 0.508 0.246
0.307 0.492 0.254
0.193 0.492 0.754
0.693 0.508 0.746
0.000 0.000 0.500
0.000 0.000 0.000
0.500 0.000 0.500
0.500 0.000 0.000
```

* calculated volume: 15.2 Å³ per atom
* calculated total energy: -32.1 eV per formula unit
* calculated formation energy: -2.951 eV/atom
* space group: No. 14

Record 7
VASP calculation (PBE+U) on an optimized crystal structure of LiFeO3.

Geometry as POSCAR:
```
LiFeO3
1.0
4.222 2.515 0.000
-4.222 2.515 0.000
0.000 1.258 9.627
O Li Fe
12 4 4
Direct
0.475 0.353 0.109
0.353 0.475 0.609
0.982 0.842 0.609
0.587 0.090 0.615
0.090 0.587 0.115
0.158 0.018 0.891
0.910 0.413 0.885
0.525 0.647 0.891
0.018 0.158 0.391
0.647 0.525 0.391
0.413 0.910 0.385
0.842 0.982 0.109
0.614 0.386 0.750
0.743 0.257 0.250
0.386 0.614 0.250
0.257 0.743 0.750
0.831 0.670 0.999
0.670 0.831 0.499
0.330 0.169 0.501
0.169 0.330 0.001
```

* calculated volume: 10.2 Å³ per atom
* calculated total energy: -28.0 eV per formula unit
* calculated formation energy: -1.417 eV/atom
* space group: No. 15

Record 8
VASP calculation (PBE+U) on an optimized crystal structure of Li4V3P8O29.

Geometry as POSCAR:
```
Li4V3P8O29
1.0
-8.156 4.662 -2.626
1.663 -9.106 -3.221
-6.594 -5.179 11.300
O P Li V
58 16 8 6
Direct
0.241 0.243 0.432
0.906 0.521 0.179
0.815 0.336 0.326
0.010 0.242 0.575
0.756 0.987 0.431
0.482 0.101 0.679
0.257 0.919 0.337
0.511 0.184 0.332
0.476 0.383 0.176
0.664 0.481 0.323
0.256 0.343 0.834
0.792 0.003 0.250
0.903 0.381 0.678
0.745 0.083 0.660
0.100 0.619 0.322
0.210 0.000 0.751
0.324 0.658 0.524
0.330 0.513 0.672
0.228 0.239 0.074
0.233 0.986 0.933
0.385 0.478 0.324
0.486 0.813 0.669
0.214 0.205 0.255
0.674 0.186 0.832
0.003 0.249 0.932
0.522 0.335 0.825
0.790 0.790 0.750
0.179 0.512 0.172
0.096 0.480 0.820
0.674 0.347 0.976
0.523 0.617 0.823
0.338 0.256 0.663
0.663 0.915 0.841
0.338 0.085 0.158
0.669 0.341 0.476
0.991 0.205 0.755
0.765 0.756 0.929
0.619 0.100 0.179
0.659 0.743 0.329
0.760 0.766 0.571
0.008 0.761 0.433
0.476 0.662 0.175
0.081 0.742 0.834
0.001 0.790 0.251
0.915 0.660 0.660
0.326 0.814 0.167
0.183 0.669 0.671
0.001 0.757 0.072
0.819 0.487 0.827
0.520 0.900 0.320
0.382 0.901 0.821
0.241 0.004 0.571
0.920 0.259 0.165
0.616 0.523 0.677
0.767 0.013 0.068
0.088 0.342 0.336
0.325 0.655 0.024
0.744 0.657 0.164
0.088 0.320 0.841
0.229 0.909 0.841
0.317 0.232 0.158
0.773 0.091 0.160
0.680 0.910 0.340
0.768 0.683 0.657
0.328 0.661 0.130
0.333 0.664 0.629
0.321 0.090 0.661
0.913 0.229 0.659
0.234 0.319 0.342
0.685 0.768 0.843
0.671 0.336 0.870
0.663 0.335 0.371
0.090 0.770 0.342
0.912 0.679 0.161
0.775 0.086 0.943
0.227 0.322 0.557
0.086 0.776 0.557
0.688 0.911 0.554
0.908 0.682 0.947
0.225 0.913 0.061
0.095 0.323 0.060
0.319 0.094 0.438
0.434 0.999 0.246
0.570 0.570 0.248
0.568 0.999 0.751
0.436 0.434 0.754
0.997 0.431 0.257
0.000 0.565 0.747
```

* relative energy among the computed polymorphs: 0.015 eV per atom
* calculated volume: 13.3 Å³ per atom
* calculated total energy: -309.7 eV per formula unit
* calculated formation energy: -2.569 eV/atom
* space group: No. 1

Record 9
VASP calculation (PBE+U) on an optimized crystal structure of K2NaTi2Fe7Si8H4O31.

Geometry as POSCAR:
```
K2NaTi2Fe7Si8H4O31
1.0
-2.797 3.858 -2.645
-10.475 -4.031 3.383
-5.393 6.079 8.936
H Si O K Fe Na Ti
4 8 31 2 7 1 2
Direct
0.328 0.688 0.405
0.614 0.683 0.845
0.386 0.317 0.155
0.672 0.312 0.595
0.075 0.763 0.932
0.229 0.252 0.455
0.798 0.258 0.324
0.925 0.237 0.068
0.906 0.769 0.274
0.094 0.231 0.726
0.771 0.748 0.545
0.202 0.742 0.676
0.222 0.407 0.400
0.815 0.412 0.259
0.185 0.588 0.741
0.523 0.377 0.835
0.192 0.172 0.045
0.851 0.198 0.223
0.477 0.623 0.165
0.512 0.205 0.411
0.374 0.409 0.117
0.702 0.174 0.043
0.838 0.813 0.392
0.323 0.598 0.462
0.311 0.174 0.805
0.014 0.199 0.411
0.162 0.187 0.608
0.689 0.826 0.195
0.986 0.801 0.589
0.677 0.402 0.538
0.816 0.173 0.803
0.500 0.000 0.000
0.778 0.593 0.600
0.488 0.795 0.589
0.905 0.612 0.333
0.808 0.828 0.955
0.184 0.827 0.197
0.058 0.608 0.015
0.149 0.802 0.777
0.095 0.388 0.667
0.298 0.826 0.957
0.942 0.392 0.985
0.626 0.591 0.883
0.627 0.997 0.744
0.373 0.003 0.256
0.433 0.478 0.659
0.000 0.500 0.500
0.846 0.476 0.799
0.567 0.522 0.341
0.154 0.524 0.201
0.292 0.484 0.932
0.708 0.516 0.068
0.000 0.000 0.000
0.506 0.179 0.924
0.494 0.821 0.076
```

* calculated volume: 12.3 Å³ per atom
* calculated total energy: -392.7 eV per formula unit
* calculated formation energy: -2.559 eV/atom
* space group: No. 2

Record 10
VASP calculation (PBE+U) on an optimized crystal structure of Li5Co3O8.

Geometry as POSCAR:
```
Li5Co3O8
1.0
-3.423 0.189 4.729
-3.161 -3.163 -2.162
1.344 -4.739 1.162
O Li Co
8 5 3
Direct
0.500 0.222 0.760
0.500 0.778 0.240
0.771 0.745 0.781
0.000 0.745 0.225
0.229 0.255 0.219
0.000 0.255 0.775
0.771 0.255 0.219
0.229 0.745 0.781
0.500 0.000 0.500
0.500 0.500 0.000
0.000 0.000 0.500
0.742 0.500 0.500
0.258 0.500 0.500
0.000 0.500 0.000
0.255 0.000 0.000
0.745 0.000 0.000
```

* relative energy among the computed polymorphs: 0.000 eV per atom
* calculated volume: 8.7 Å³ per atom
* calculated total energy: -87.8 eV per formula unit
* calculated formation energy: -1.734 eV/atom
* space group: No. 10

Record 11
VASP calculation (PBE+U) on an optimized crystal structure of Li2TiVO4.

Geometry as POSCAR:
```
Li2TiVO4
1.0
2.073 4.741 0.000
0.000 0.000 5.842
5.171 -0.211 0.000
Li O V Ti
4 8 2 2
Direct
0.000 0.750 0.500
0.000 0.500 0.000
0.500 0.250 0.000
0.500 0.000 0.500
0.733 0.750 0.234
0.748 0.500 0.748
0.751 0.000 0.751
0.249 0.000 0.249
0.267 0.750 0.766
0.766 0.250 0.267
0.234 0.250 0.733
0.252 0.500 0.252
0.500 0.500 0.500
0.000 0.000 0.000
0.000 0.250 0.500
0.500 0.750 0.000
```

* relative energy among the computed polymorphs: 0.014 eV per atom
* calculated volume: 9.1 Å³ per atom
* calculated total energy: -58.0 eV per formula unit
* calculated formation energy: -2.738 eV/atom